No. 1
Compound: Fe3Se3O10
Source: the Materials Project
Functional: PBE+U
Structure: relaxed

Cell lengths 8.332, 8.333, 8.613 Å; angles 62.51, 70.05, 68.92 degrees
Positions (direct):
1 Fe 0.471 0.337 0.703
2 Fe 0.529 0.663 0.297
3 Fe 0.638 0.273 0.101
4 Fe 0.362 0.727 0.899
5 Fe 0.000 0.500 0.000
6 Fe 0.500 0.000 0.500
7 Se 0.269 0.433 0.270
8 Se 0.731 0.567 0.730
9 Se 0.171 0.178 0.803
10 Se 0.829 0.822 0.197
11 Se 0.823 0.206 0.444
12 Se 0.177 0.794 0.556
13 O 0.194 0.551 0.072
14 O 0.806 0.449 0.928
15 O 0.654 0.408 0.469
16 O 0.346 0.592 0.531
17 O 0.717 0.130 0.359
18 O 0.283 0.870 0.641
19 O 0.388 0.217 0.269
20 O 0.612 0.783 0.731
21 O 0.357 0.202 0.623
22 O 0.643 0.798 0.377
23 O 0.226 0.308 0.881
24 O 0.774 0.692 0.119
25 O 0.219 0.956 0.951
26 O 0.781 0.044 0.049
27 O 0.609 0.134 0.790
28 O 0.391 0.866 0.210
29 O 0.975 0.301 0.264
30 O 0.025 0.699 0.736
31 O 0.456 0.531 0.176
32 O 0.544 0.469 0.824

The space group is No. 2.



No. 2
Compound: LiFe4P3O12
Source: the Materials Project
Functional: PBE+U
Structure: relaxed

Cell lengths 6.466, 9.356, 14.927 Å; angles 89.35, 90.00, 90.00 degrees
Positions (direct):
1 Li 0.000 0.163 0.155
2 Li 0.500 0.336 0.322
3 Li 0.500 0.335 0.656
4 Li 0.500 0.330 0.996
5 Fe 0.757 0.020 0.665
6 Fe 0.759 0.006 0.001
7 Fe 0.763 0.004 0.335
8 Fe 0.241 0.006 0.001
9 Fe 0.237 0.004 0.335
10 Fe 0.243 0.020 0.665
11 Fe 0.238 0.499 0.163
12 Fe 0.762 0.499 0.163
13 Fe 0.235 0.483 0.489
14 Fe 0.245 0.488 0.836
15 Fe 0.765 0.483 0.489
16 Fe 0.755 0.488 0.836
17 Fe 0.000 0.651 0.676
18 Fe 0.500 0.852 0.842
19 Fe 0.500 0.858 0.502
20 Fe 0.500 0.844 0.175
21 P 0.500 0.179 0.160
22 P 0.500 0.174 0.489
23 P 0.500 0.174 0.825
24 P 0.000 0.325 0.321
25 P 0.000 0.328 0.658
26 P 0.000 0.321 0.993
27 P 0.500 0.675 0.347
28 P 0.500 0.675 0.011
29 P 0.500 0.684 0.675
30 P 0.000 0.820 0.173
31 P 0.000 0.817 0.840
32 P 0.000 0.825 0.509
33 O 0.304 0.114 0.118
34 O 0.306 0.109 0.783
35 O 0.306 0.107 0.448
36 O 0.694 0.107 0.448
37 O 0.694 0.109 0.783
38 O 0.696 0.114 0.118
39 O 0.500 0.141 0.262
40 O 0.500 0.143 0.593
41 O 0.500 0.137 0.928
42 O 0.000 0.158 0.301
43 O 0.000 0.154 0.986
44 O 0.000 0.164 0.648
45 O 0.500 0.344 0.139
46 O 0.500 0.340 0.468
47 O 0.500 0.342 0.805
48 O 0.000 0.362 0.422
49 O 0.000 0.361 0.095
50 O 0.000 0.382 0.756
51 O 0.201 0.377 0.949
52 O 0.201 0.384 0.278
53 O 0.198 0.390 0.612
54 O 0.802 0.390 0.612
55 O 0.799 0.377 0.949
56 O 0.799 0.384 0.278
57 O 0.303 0.617 0.053
58 O 0.303 0.619 0.391
59 O 0.305 0.618 0.719
60 O 0.697 0.617 0.053
61 O 0.697 0.619 0.391
62 O 0.695 0.618 0.719
63 O 0.500 0.646 0.243
64 O 0.500 0.647 0.906
65 O 0.500 0.660 0.573
66 O 0.000 0.657 0.183
67 O 0.000 0.650 0.844
68 O 0.000 0.659 0.533
69 O 0.500 0.849 0.699
70 O 0.500 0.846 0.027
71 O 0.500 0.845 0.362
72 O 0.000 0.861 0.738
73 O 0.000 0.868 0.410
74 O 0.000 0.881 0.076
75 O 0.803 0.875 0.886
76 O 0.197 0.875 0.886
77 O 0.801 0.883 0.557
78 O 0.802 0.880 0.221
79 O 0.198 0.880 0.221
80 O 0.199 0.883 0.557

The space group is No. 6. The value obtained for the energy above the most stable polymorph in this dataset is 1 meV/atom.



No. 3
Compound: Sr7CaMn3Fe5O24
Source: the Materials Project
Functional: PBE+U
Structure: relaxed

Cell lengths 7.797, 7.797, 7.823 Å; angles 90.00, 90.00, 89.99 degrees
Positions (direct):
1 Sr 0.750 0.250 0.251
2 Sr 0.750 0.250 0.749
3 Sr 0.750 0.750 0.749
4 Sr 0.250 0.250 0.251
5 Sr 0.250 0.250 0.749
6 Sr 0.250 0.750 0.251
7 Sr 0.250 0.750 0.749
8 Ca 0.750 0.750 0.251
9 Mn 0.999 0.500 0.500
10 Mn 0.500 0.999 0.500
11 Mn 0.500 0.500 0.500
12 Fe 0.999 0.999 0.001
13 Fe 0.000 0.000 0.500
14 Fe 0.000 0.500 0.000
15 Fe 0.500 0.000 0.000
16 Fe 0.500 0.500 0.001
17 O 0.751 0.998 0.002
18 O 0.746 0.998 0.498
19 O 0.750 0.502 0.002
20 O 0.749 0.502 0.498
21 O 0.249 0.000 0.000
22 O 0.254 0.000 0.500
23 O 0.250 0.500 0.000
24 O 0.251 0.500 0.500
25 O 0.000 0.249 0.000
26 O 0.000 0.254 0.500
27 O 0.998 0.751 0.002
28 O 0.998 0.746 0.498
29 O 0.500 0.250 0.000
30 O 0.500 0.251 0.500
31 O 0.502 0.750 0.002
32 O 0.502 0.749 0.498
33 O 0.998 0.998 0.248
34 O 0.000 0.000 0.752
35 O 0.998 0.502 0.253
36 O 0.000 0.500 0.747
37 O 0.502 0.998 0.253
38 O 0.500 0.000 0.747
39 O 0.502 0.502 0.253
40 O 0.500 0.500 0.747

The space group is No. 8.



No. 4
Compound: Gd4Mo7O27
Source: the Materials Project
Functional: PBE+U
Structure: relaxed

Cell lengths 13.825, 13.825, 14.562 Å; angles 77.41, 77.41, 65.24 degrees
Positions (direct):
1 Gd 0.185 0.571 0.437
2 Gd 0.552 0.670 0.855
3 Gd 0.076 0.685 0.935
4 Gd 0.828 0.943 0.645
5 Gd 0.172 0.057 0.355
6 Gd 0.924 0.315 0.065
7 Gd 0.448 0.330 0.145
8 Gd 0.057 0.172 0.855
9 Gd 0.670 0.552 0.355
10 Gd 0.429 0.815 0.063
11 Gd 0.943 0.828 0.145
12 Gd 0.815 0.429 0.563
13 Gd 0.315 0.924 0.565
14 Gd 0.571 0.185 0.937
15 Gd 0.330 0.448 0.645
16 Gd 0.685 0.076 0.435
17 Mo 0.832 0.638 0.702
18 Mo 0.110 0.350 0.613
19 Mo 0.744 0.132 0.146
20 Mo 0.057 0.454 0.834
21 Mo 0.757 0.366 0.855
22 Mo 0.981 0.881 0.399
23 Mo 0.350 0.110 0.113
24 Mo 0.485 0.375 0.400
25 Mo 0.868 0.256 0.354
26 Mo 0.362 0.168 0.798
27 Mo 0.454 0.057 0.334
28 Mo 0.256 0.868 0.854
29 Mo 0.168 0.362 0.298
30 Mo 0.132 0.744 0.646
31 Mo 0.243 0.634 0.145
32 Mo 0.634 0.243 0.645
33 Mo 0.019 0.119 0.601
34 Mo 0.890 0.650 0.387
35 Mo 0.546 0.943 0.666
36 Mo 0.881 0.981 0.899
37 Mo 0.515 0.625 0.600
38 Mo 0.375 0.485 0.900
39 Mo 0.119 0.019 0.101
40 Mo 0.638 0.832 0.202
41 Mo 0.366 0.757 0.355
42 Mo 0.625 0.515 0.100
43 Mo 0.943 0.546 0.166
44 Mo 0.650 0.890 0.887
45 O 0.395 0.447 0.786
46 O 0.281 0.685 0.372
47 O 0.343 0.267 0.696
48 O 0.190 0.437 0.785
49 O 0.402 0.209 0.885
50 O 0.856 0.957 0.476
51 O 0.412 0.576 0.612
52 O 0.902 0.299 0.231
53 O 0.957 0.856 0.976
54 O 0.922 0.680 0.256
55 O 0.810 0.563 0.215
56 O 0.098 0.701 0.769
57 O 0.562 0.815 0.919
58 O 0.181 0.229 0.569
59 O 0.440 0.987 0.597
60 O 0.014 0.580 0.434
61 O 0.588 0.424 0.388
62 O 0.315 0.719 0.128
63 O 0.394 0.807 0.233
64 O 0.364 0.456 0.475
65 O 0.489 0.665 0.397
66 O 0.946 0.256 0.559
67 O 0.563 0.810 0.715
68 O 0.560 0.013 0.403
69 O 0.193 0.606 0.267
70 O 0.196 0.624 0.586
71 O 0.059 0.115 0.711
72 O 0.161 0.988 0.898
73 O 0.777 0.191 0.372
74 O 0.185 0.438 0.581
75 O 0.655 0.956 0.577
76 O 0.115 0.059 0.211
77 O 0.447 0.395 0.286
78 O 0.013 0.560 0.903
79 O 0.701 0.125 0.582
80 O 0.665 0.489 0.897
81 O 0.209 0.402 0.385
82 O 0.819 0.771 0.431
83 O 0.941 0.885 0.289
84 O 0.809 0.223 0.128
85 O 0.576 0.412 0.112
86 O 0.680 0.922 0.756
87 O 0.464 0.767 0.560
88 O 0.744 0.054 0.941
89 O 0.038 0.469 0.261
90 O 0.511 0.335 0.603
91 O 0.150 0.240 0.344
92 O 0.553 0.605 0.714
93 O 0.299 0.902 0.731
94 O 0.885 0.941 0.789
95 O 0.701 0.098 0.269
96 O 0.943 0.075 0.879
97 O 0.043 0.144 0.024
98 O 0.012 0.839 0.602
99 O 0.606 0.193 0.767
100 O 0.636 0.544 0.525
101 O 0.125 0.701 0.082
102 O 0.987 0.440 0.097
103 O 0.420 0.986 0.066
104 O 0.875 0.299 0.918
105 O 0.469 0.038 0.761
106 O 0.335 0.511 0.103
107 O 0.054 0.744 0.441
108 O 0.791 0.598 0.615
109 O 0.807 0.394 0.733
110 O 0.850 0.760 0.656
111 O 0.267 0.343 0.196
112 O 0.925 0.057 0.621
113 O 0.376 0.804 0.914
114 O 0.437 0.190 0.285
115 O 0.078 0.320 0.744
116 O 0.962 0.531 0.739
117 O 0.438 0.185 0.081
118 O 0.057 0.925 0.121
119 O 0.531 0.962 0.239
120 O 0.733 0.657 0.804
121 O 0.345 0.044 0.423
122 O 0.719 0.315 0.628
123 O 0.804 0.376 0.414
124 O 0.240 0.150 0.844
125 O 0.536 0.233 0.440
126 O 0.657 0.733 0.304
127 O 0.544 0.636 0.025
128 O 0.229 0.181 0.069
129 O 0.839 0.012 0.102
130 O 0.233 0.536 0.940
131 O 0.760 0.850 0.156
132 O 0.456 0.364 0.975
133 O 0.256 0.946 0.059
134 O 0.605 0.553 0.214
135 O 0.144 0.043 0.524
136 O 0.771 0.819 0.931
137 O 0.580 0.014 0.934
138 O 0.815 0.562 0.419
139 O 0.624 0.196 0.086
140 O 0.223 0.809 0.628
141 O 0.986 0.420 0.566
142 O 0.988 0.161 0.398
143 O 0.075 0.943 0.379
144 O 0.320 0.078 0.244
145 O 0.299 0.875 0.418
146 O 0.685 0.281 0.872
147 O 0.767 0.464 0.060
148 O 0.956 0.655 0.077
149 O 0.424 0.588 0.888
150 O 0.044 0.345 0.923
151 O 0.598 0.791 0.115
152 O 0.191 0.777 0.872

The space group is No. 15.



No. 5
Compound: Li9V12Fe7O48
Source: the Materials Project
Functional: PBE+U
Structure: relaxed

Cell lengths 5.105, 10.180, 17.403 Å; angles 90.14, 90.69, 90.02 degrees
Positions (direct):
1 Li 0.904 0.749 0.252
2 Li 0.751 0.584 0.971
3 Li 0.746 0.419 0.472
4 Li 0.743 0.081 0.473
5 Li 0.765 0.749 0.802
6 Li 0.241 0.248 0.191
7 Li 0.250 0.082 0.028
8 Li 0.257 0.750 0.701
9 Li 0.096 0.249 0.748
10 V 0.780 0.252 0.942
11 V 0.775 0.970 0.655
12 V 0.779 0.530 0.653
13 V 0.711 0.473 0.152
14 V 0.717 0.026 0.157
15 V 0.711 0.749 0.443
16 V 0.282 0.250 0.559
17 V 0.285 0.525 0.844
18 V 0.287 0.974 0.848
19 V 0.227 0.469 0.344
20 V 0.227 0.030 0.345
21 V 0.220 0.752 0.057
22 Fe 0.760 0.249 0.298
23 Fe 0.762 0.931 0.975
24 Fe 0.596 0.249 0.750
25 Fe 0.403 0.750 0.249
26 Fe 0.241 0.929 0.528
27 Fe 0.244 0.571 0.527
28 Fe 0.240 0.431 0.024
29 O 0.939 0.763 0.995
30 O 0.938 0.381 0.365
31 O 0.939 0.119 0.367
32 O 0.890 0.366 0.211
33 O 0.912 0.130 0.216
34 O 0.911 0.882 0.466
35 O 0.912 0.616 0.465
36 O 0.911 0.992 0.075
37 O 0.917 0.508 0.076
38 O 0.837 0.253 0.844
39 O 0.835 0.383 0.703
40 O 0.834 0.118 0.704
41 O 0.647 0.882 0.207
42 O 0.641 0.615 0.204
43 O 0.640 0.748 0.346
44 O 0.572 0.500 0.574
45 O 0.568 0.997 0.575
46 O 0.601 0.110 0.966
47 O 0.567 0.379 0.964
48 O 0.607 0.869 0.714
49 O 0.600 0.631 0.710
50 O 0.576 0.886 0.879
51 O 0.556 0.615 0.870
52 O 0.546 0.250 0.500
53 O 0.420 0.750 0.507
54 O 0.422 0.389 0.121
55 O 0.441 0.109 0.130
56 O 0.436 0.369 0.291
57 O 0.443 0.131 0.295
58 O 0.433 0.877 0.035
59 O 0.398 0.609 0.033
60 O 0.398 0.988 0.428
61 O 0.400 0.510 0.427
62 O 0.358 0.249 0.658
63 O 0.357 0.382 0.793
64 O 0.358 0.115 0.796
65 O 0.167 0.886 0.294
66 O 0.165 0.614 0.293
67 O 0.165 0.752 0.156
68 O 0.086 0.490 0.927
69 O 0.079 0.010 0.925
70 O 0.087 0.391 0.538
71 O 0.087 0.110 0.538
72 O 0.114 0.870 0.789
73 O 0.090 0.623 0.787
74 O 0.067 0.887 0.625
75 O 0.068 0.615 0.624
76 O 0.063 0.263 0.005

The space group is No. 1.



No. 6
Compound: Sr2TiMnO5
Source: the Materials Project
Functional: PBE+U
Structure: relaxed

Cell lengths 5.625, 8.925, 11.404 Å; angles 108.63, 90.00, 108.37 degrees
Positions (direct):
1 Sr 0.612 0.225 0.550
2 Sr 0.612 0.225 0.050
3 Sr 0.387 0.775 0.450
4 Sr 0.387 0.775 0.950
5 Sr 0.112 0.225 0.313
6 Sr 0.112 0.225 0.813
7 Sr 0.887 0.775 0.687
8 Sr 0.887 0.775 0.187
9 Ti 0.996 0.000 0.500
10 Ti 0.996 0.000 0.000
11 Ti 0.496 0.000 0.250
12 Ti 0.496 0.000 0.750
13 Mn 0.223 0.500 0.655
14 Mn 0.723 0.500 0.345
15 Mn 0.223 0.500 0.155
16 Mn 0.723 0.500 0.845
17 O 0.862 0.500 0.678
18 O 0.862 0.500 0.178
19 O 0.362 0.500 0.322
20 O 0.362 0.500 0.822
21 O 0.255 0.982 0.867
22 O 0.255 0.982 0.367
23 O 0.274 0.018 0.133
24 O 0.274 0.018 0.633
25 O 0.755 0.982 0.874
26 O 0.755 0.982 0.374
27 O 0.774 0.018 0.126
28 O 0.774 0.018 0.626
29 O 0.151 0.248 0.541
30 O 0.151 0.248 0.041
31 O 0.903 0.752 0.459
32 O 0.903 0.752 0.959
33 O 0.651 0.248 0.333
34 O 0.651 0.248 0.833
35 O 0.403 0.752 0.667
36 O 0.403 0.752 0.167



Calculated energy of formation from the pure elements, -1.30 -2.31 -2.31 -2.54 -2.09 -3.08 eV per atom (same order as the records).